[1]
VASP calculation (PBE) on a relaxed Cs3Te22 crystal.

The structure in POSCAR format:
```
Cs3Te22
1.0
-4.841 4.841 10.368
4.841 -4.841 10.368
4.841 4.841 -10.368
Cs Te
3 22
Cartesian
0.000 0.000 0.000
0.000 0.000 6.783
0.000 0.000 13.953
4.841 0.000 0.000
2.765 1.384 -2.419
2.895 -0.948 3.997
5.788 -1.945 6.371
3.457 -2.076 7.949
2.765 1.384 2.419
6.786 0.948 3.997
5.825 2.953 0.000
2.953 3.856 0.000
3.457 -2.076 12.787
0.948 2.895 3.997
0.000 4.841 0.000
3.893 1.945 6.371
1.384 6.917 -2.419
1.888 0.984 10.368
-0.984 1.888 10.368
-1.945 3.893 6.371
2.076 3.457 7.949
1.384 6.917 2.419
-0.948 6.786 3.997
1.945 5.788 6.371
2.076 3.457 12.787
```

energy above the most stable polymorph in this dataset = 6 meV per atom
SG = I4/m, No. 87
ΔH_f (0 K) = -0.577 eV/atom
calculated total energy = -3.08 eV/atom

=====

[2]
VASP calculation (PBE) on a relaxed Na3Eu crystal.

The structure in POSCAR format:
```
Na3Eu
1.0
0.000 4.322 4.322
4.322 0.000 4.322
4.322 4.322 0.000
Na Eu
3 1
Cartesian
0.000 0.000 0.000
2.161 2.161 2.161
6.483 6.483 6.483
4.322 4.322 4.322
```

SG = Fm-3m, No. 225
ΔH_f (0 K) = 0.116 eV/atom
calculated total energy = -3.44 eV/atom

=====

[3]
VASP calculation (PBE) on a relaxed Ho3As crystal.

The structure in POSCAR format:
```
Ho3As
1.0
-2.234 2.234 5.150
2.234 -2.234 5.150
2.234 2.234 -5.150
Ho As
3 1
Cartesian
0.000 0.000 0.000
2.234 0.000 2.575
0.000 2.234 2.575
0.000 0.000 5.150
```

SG = I4/mmm, No. 139
ΔH_f (0 K) = -0.399 eV/atom
calculated total energy = -5.00 eV/atom

=====

[4]
VASP calculation (PBE) on a relaxed ZnGe3 crystal.

The structure in POSCAR format:
```
ZnGe3
1.0
5.829 0.000 0.000
-2.914 5.048 0.000
0.000 0.000 5.123
Zn Ge
2 6
Cartesian
0.000 3.365 1.281
2.914 1.683 3.842
0.000 1.700 3.842
-1.442 4.198 3.842
1.473 0.850 1.281
1.442 4.198 3.842
4.356 0.850 1.281
2.914 3.348 1.281
```

SG = P6_3/mmc, No. 194
ΔH_f (0 K) = 0.298 eV/atom
calculated total energy = -3.48 eV/atom

=====

[5]
VASP calculation (PBE) on a relaxed Mg14TiCuO16 crystal.

The structure in POSCAR format:
```
Mg14TiCuO16
1.0
4.239 0.000 0.000
0.000 8.572 0.000
0.000 0.000 8.619
Mg Ti Cu O
14 1 1 16
Cartesian
0.000 0.000 0.000
0.000 0.000 4.309
0.000 2.139 2.096
0.000 2.139 6.523
0.000 6.434 2.096
0.000 6.434 6.523
2.120 0.000 2.135
2.120 0.000 6.484
2.120 2.121 4.309
2.120 2.167 0.000
2.120 4.286 2.078
2.120 4.286 6.541
2.120 6.405 0.000
2.120 6.451 4.309
0.000 4.286 4.309
0.000 4.286 0.000
0.000 0.000 2.192
0.000 0.000 6.427
0.000 2.019 0.000
0.000 2.158 4.309
0.000 4.286 2.324
0.000 4.286 6.295
0.000 6.414 4.309
0.000 6.553 0.000
2.120 0.000 0.000
2.120 0.000 4.309
2.120 2.159 2.163
2.120 2.159 6.456
2.120 4.286 0.000
2.120 4.286 4.309
2.120 6.413 2.163
2.120 6.413 6.456
```

energy above the most stable polymorph in this dataset = 0 meV per atom
SG = Pmmm, No. 47
ΔH_f (0 K) = -2.901 eV/atom
calculated total energy = -6.11 eV/atom

=====

[6]
VASP calculation (PBE) on a relaxed AsS4N5F6 crystal.

The structure in POSCAR format:
```
AsS4N5F6
1.0
12.227 0.000 0.000
0.000 6.755 0.000
-1.261 0.000 12.883
As S N F
4 16 20 24
Cartesian
-0.315 0.487 3.221
-0.946 6.268 9.662
5.168 1.049 9.662
5.798 5.706 3.221
0.980 2.415 7.281
1.611 4.340 0.840
1.638 2.791 11.810
2.268 3.964 5.369
3.310 2.220 1.683
2.680 4.536 8.125
3.158 1.307 5.822
2.528 5.449 12.264
8.438 1.307 0.619
7.808 5.449 7.061
8.286 2.220 4.758
7.656 4.536 11.200
8.698 2.791 7.514
9.329 3.964 1.073
9.356 2.415 12.044
9.986 4.340 5.602
0.888 3.357 5.960
0.258 3.398 12.401
1.786 3.305 8.485
2.417 3.450 2.044
2.120 1.192 6.984
2.751 5.563 0.542
3.697 1.970 0.185
3.067 4.785 6.627
3.360 2.683 5.105
2.730 4.072 11.547
8.237 2.683 1.336
7.606 4.072 7.778
7.899 1.970 6.256
7.269 4.785 12.698
8.216 1.192 12.341
8.846 5.563 5.899
8.550 3.305 10.840
9.180 3.450 4.398
10.709 3.357 0.482
10.078 3.398 6.923
-0.946 1.288 9.662
-0.315 2.254 3.221
-0.946 4.502 9.662
-0.315 5.468 3.221
0.091 0.486 1.492
-0.540 6.269 7.934
1.426 0.479 3.625
0.795 6.276 10.067
3.432 1.044 10.021
4.062 5.711 3.579
4.911 2.303 8.426
5.541 4.452 1.985
5.556 0.211 1.985
4.926 6.544 8.427
6.041 0.211 4.456
5.410 6.544 10.898
5.425 2.303 10.899
6.056 4.452 4.457
6.904 1.044 9.304
7.535 5.711 2.862
10.171 0.479 2.817
9.541 6.276 9.258
11.506 0.486 4.949
10.876 6.269 11.391
```

SG = P2/c, No. 13
ΔH_f (0 K) = -0.742 eV/atom
calculated total energy = -5.22 eV/atom

=====

[7]
VASP calculation (PBE) on a relaxed Ba3La5Tl2Cu4O18 crystal.

The structure in POSCAR format:
```
Ba3La5Tl2Cu4O18
1.0
5.429 0.000 0.000
0.000 2.716 15.898
0.000 -2.716 15.898
Ba La Tl Cu O
3 5 2 4 18
Cartesian
0.000 0.000 0.000
0.000 0.000 5.304
2.715 0.000 15.934
0.000 0.000 9.121
0.000 0.000 27.959
2.715 0.000 12.062
2.715 0.000 21.319
2.715 0.000 25.040
0.000 0.000 18.615
2.715 0.000 2.711
0.000 0.000 13.857
0.000 0.000 23.214
2.715 0.000 7.314
2.715 0.000 29.730
0.000 0.000 2.673
0.000 0.000 11.397
0.000 0.000 16.519
0.000 0.000 20.741
0.000 0.000 25.584
1.355 -1.346 13.752
1.355 1.346 13.752
1.398 -1.308 23.221
1.398 1.308 23.221
2.715 0.000 0.609
2.715 0.000 4.843
2.715 0.000 9.678
2.715 0.000 18.918
2.715 0.000 27.374
4.031 -1.308 23.221
4.031 1.308 23.221
4.074 -1.346 13.752
4.074 1.346 13.752
```

SG = Amm2, No. 38
ΔH_f (0 K) = -2.480 eV/atom
calculated total energy = -6.49 eV/atom

=====

[8]
VASP calculation (PBE) on a relaxed Ti2Te3 crystal.

The structure in POSCAR format:
```
Ti2Te3
1.0
7.515 0.000 0.000
-2.211 7.582 0.000
-2.351 -0.843 8.894
Ti Te
8 12
Cartesian
-0.518 1.760 0.137
-1.308 5.632 7.441
1.508 0.562 2.924
0.553 3.962 3.097
2.400 2.777 5.797
1.445 6.177 5.970
4.262 1.107 1.453
3.472 4.979 8.757
-2.639 3.175 7.139
-1.420 -0.478 7.059
-0.011 1.929 4.771
-0.983 5.765 4.645
0.720 6.227 1.315
1.942 2.604 1.117
1.012 4.135 7.778
2.233 0.512 7.579
3.936 0.974 4.250
2.965 4.810 4.124
4.373 7.217 1.835
5.593 3.564 1.755
```

SG = P-1, No. 2
ΔH_f (0 K) = -0.970 eV/atom
calculated total energy = -5.76 eV/atom

=====

[9]
VASP calculation (PBE) on a relaxed LaB2C2 crystal.

The structure in POSCAR format:
```
LaB2C2
1.0
5.403 0.000 0.000
0.000 5.403 0.000
0.000 0.000 3.982
La B C
2 4 4
Cartesian
0.000 0.000 0.000
2.701 2.701 0.000
0.745 1.956 1.991
1.956 4.658 1.991
3.447 0.745 1.991
4.658 3.447 1.991
0.870 3.571 1.991
1.832 0.870 1.991
3.571 4.533 1.991
4.533 1.832 1.991
```

SG = P4/mbm, No. 127
ΔH_f (0 K) = -0.438 eV/atom
calculated total energy = -7.79 eV/atom

=====

[10]
VASP calculation (PBE) on a relaxed Ti3NbZnBi3O14 crystal.

The structure in POSCAR format:
```
Ti3NbZnBi3O14
1.0
10.445 0.000 0.000
0.000 10.445 0.000
0.000 0.000 10.445
Ti Nb Zn Bi O
12 4 4 12 56
Cartesian
1.187 3.799 1.306
1.306 1.187 3.799
1.424 9.139 6.410
3.799 1.306 1.187
3.917 9.258 9.021
4.035 6.646 6.528
6.410 1.424 9.139
6.528 4.035 6.646
6.646 6.528 4.035
9.021 3.917 9.258
9.139 6.410 1.424
9.258 9.021 3.917
1.306 6.528 9.139
3.917 3.917 3.917
6.528 9.139 1.306
9.139 1.306 6.528
1.306 3.917 6.528
3.917 6.528 1.306
6.528 1.306 3.917
9.139 9.139 9.139
1.083 1.306 8.917
1.306 8.917 1.083
1.528 6.306 3.917
3.695 4.139 9.139
3.917 1.528 6.306
4.139 9.139 3.695
6.306 3.917 1.528
6.528 6.751 9.362
6.751 9.362 6.528
8.917 1.083 1.306
9.139 3.695 4.139
9.362 6.528 6.751
10.441 3.189 10.420
0.004 8.411 5.248
0.025 5.219 2.034
0.054 7.277 0.083
0.083 0.054 7.277
0.210 5.012 5.433
0.557 7.780 7.751
0.577 2.608 2.637
2.034 0.025 5.219
2.055 5.139 10.391
2.401 2.822 7.624
2.528 4.666 2.665
2.557 7.917 9.889
2.586 9.868 7.830
2.608 2.637 0.577
2.615 7.809 5.800
2.637 0.577 2.608
2.665 2.528 4.666
2.694 5.779 7.888
2.822 7.624 2.401
3.168 5.306 5.169
3.189 10.420 10.441
4.645 7.837 7.859
4.666 2.665 2.528
5.012 5.433 0.210
5.139 10.391 2.055
5.169 3.168 5.306
5.197 5.226 7.256
5.219 2.034 0.025
5.226 7.256 5.197
5.248 0.004 8.411
5.276 8.390 10.362
5.306 5.169 3.168
5.433 0.210 5.012
5.779 7.888 2.694
5.800 2.615 7.809
7.256 5.197 5.226
7.277 0.083 0.054
7.624 2.401 2.822
7.751 0.557 7.780
7.780 7.751 0.557
7.809 5.800 2.615
7.830 2.586 9.868
7.837 7.859 4.645
7.859 4.645 7.837
7.888 2.694 5.779
7.917 9.889 2.557
8.044 8.044 8.044
8.390 10.362 5.276
8.411 5.248 0.004
9.868 7.830 2.586
9.889 2.557 7.917
10.235 10.235 10.235
10.362 5.276 8.390
10.391 2.055 5.139
10.420 10.441 3.189
```

SG = P4_132, No. 213
ΔH_f (0 K) = -2.648 eV/atom
calculated total energy = -7.48 eV/atom

=====

[11]
VASP calculation (PBE) on a relaxed Ba3BiAs crystal.

The structure in POSCAR format:
```
Ba3BiAs
1.0
6.577 0.000 0.000
0.000 6.577 0.000
0.000 0.000 6.577
Ba Bi As
3 1 1
Cartesian
0.000 0.000 3.289
0.000 3.289 0.000
3.289 0.000 0.000
0.000 0.000 0.000
3.289 3.289 3.289
```

energy above the most stable polymorph in this dataset = 515 meV per atom
SG = Pm-3m, No. 221
ΔH_f (0 K) = -0.311 eV/atom
calculated total energy = -3.17 eV/atom

=====

[12]
VASP calculation (PBE) on a relaxed LiCu3C3O9 crystal.

The structure in POSCAR format:
```
LiCu3C3O9
1.0
8.126 0.000 0.000
0.000 6.518 0.000
-4.028 0.000 7.066
Li Cu C O
2 6 6 18
Cartesian
0.000 0.000 0.000
-0.292 3.259 4.366
1.602 1.650 2.167
1.602 4.868 2.167
1.317 1.592 6.642
1.317 4.926 6.642
5.159 1.659 4.536
5.159 4.859 4.536
-1.401 1.632 6.787
-1.401 4.887 6.787
2.599 3.259 4.457
2.677 0.000 4.501
6.774 1.632 2.109
6.774 4.887 2.109
-0.262 1.783 2.799
-0.262 4.735 2.799
1.437 1.461 0.216
1.437 5.058 0.216
-1.257 1.768 5.504
-1.257 4.751 5.504
3.631 1.671 0.511
3.631 4.848 0.511
2.412 3.259 3.167
2.514 0.000 3.228
1.545 3.259 5.243
1.666 0.000 5.320
3.791 3.259 4.948
3.896 0.000 5.023
5.630 1.678 2.687
5.630 4.841 2.687
6.838 1.438 0.829
6.838 5.080 0.829
```

energy above the most stable polymorph in this dataset = 0 meV per atom
SG = Pm, No. 6
ΔH_f (0 K) = -1.464 eV/atom
calculated total energy = -6.48 eV/atom

=====

> Which value of calculated total energy does entry 3 give?

-5.00 eV/atom

=====

Copy entry 10 word for word.
VASP calculation (PBE) on a relaxed Ti3NbZnBi3O14 crystal.

The structure in POSCAR format:
```
Ti3NbZnBi3O14
1.0
10.445 0.000 0.000
0.000 10.445 0.000
0.000 0.000 10.445
Ti Nb Zn Bi O
12 4 4 12 56
Cartesian
1.187 3.799 1.306
1.306 1.187 3.799
1.424 9.139 6.410
3.799 1.306 1.187
3.917 9.258 9.021
4.035 6.646 6.528
6.410 1.424 9.139
6.528 4.035 6.646
6.646 6.528 4.035
9.021 3.917 9.258
9.139 6.410 1.424
9.258 9.021 3.917
1.306 6.528 9.139
3.917 3.917 3.917
6.528 9.139 1.306
9.139 1.306 6.528
1.306 3.917 6.528
3.917 6.528 1.306
6.528 1.306 3.917
9.139 9.139 9.139
1.083 1.306 8.917
1.306 8.917 1.083
1.528 6.306 3.917
3.695 4.139 9.139
3.917 1.528 6.306
4.139 9.139 3.695
6.306 3.917 1.528
6.528 6.751 9.362
6.751 9.362 6.528
8.917 1.083 1.306
9.139 3.695 4.139
9.362 6.528 6.751
10.441 3.189 10.420
0.004 8.411 5.248
0.025 5.219 2.034
0.054 7.277 0.083
0.083 0.054 7.277
0.210 5.012 5.433
0.557 7.780 7.751
0.577 2.608 2.637
2.034 0.025 5.219
2.055 5.139 10.391
2.401 2.822 7.624
2.528 4.666 2.665
2.557 7.917 9.889
2.586 9.868 7.830
2.608 2.637 0.577
2.615 7.809 5.800
2.637 0.577 2.608
2.665 2.528 4.666
2.694 5.779 7.888
2.822 7.624 2.401
3.168 5.306 5.169
3.189 10.420 10.441
4.645 7.837 7.859
4.666 2.665 2.528
5.012 5.433 0.210
5.139 10.391 2.055
5.169 3.168 5.306
5.197 5.226 7.256
5.219 2.034 0.025
5.226 7.256 5.197
5.248 0.004 8.411
5.276 8.390 10.362
5.306 5.169 3.168
5.433 0.210 5.012
5.779 7.888 2.694
5.800 2.615 7.809
7.256 5.197 5.226
7.277 0.083 0.054
7.624 2.401 2.822
7.751 0.557 7.780
7.780 7.751 0.557
7.809 5.800 2.615
7.830 2.586 9.868
7.837 7.859 4.645
7.859 4.645 7.837
7.888 2.694 5.779
7.917 9.889 2.557
8.044 8.044 8.044
8.390 10.362 5.276
8.411 5.248 0.004
9.868 7.830 2.586
9.889 2.557 7.917
10.235 10.235 10.235
10.362 5.276 8.390
10.391 2.055 5.139
10.420 10.441 3.189
```

SG = P4_132, No. 213
ΔH_f (0 K) = -2.648 eV/atom
calculated total energy = -7.48 eV/atom

=====

> The highest calculated total energy belongs to which entry?

Cs3Te22

=====

> What is the calculated total energy in the tenth record?

-7.48 eV/atom